The following is a DFT calculation (r²SCAN) of a geometry-optimized Co2HgO4 structure.

abc: 5.607 11.470 4.848
angles: 90.00 90.00 90.00
Positions (direct):
1 Co 0.000 0.000 0.000
2 Co 0.000 0.500 0.000
3 Co 0.250 0.005 0.497
4 Co 0.250 0.495 0.497
5 Co 0.500 0.000 0.000
6 Co 0.500 0.500 0.000
7 Co 0.750 0.505 0.503
8 Co 0.750 0.995 0.503
9 Hg 0.250 0.250 0.879
10 Hg 0.250 0.750 0.574
11 Hg 0.750 0.250 0.426
12 Hg 0.750 0.750 0.121
13 O 0.001 0.089 0.667
14 O 0.001 0.411 0.667
15 O 0.250 0.087 0.156
16 O 0.250 0.413 0.156
17 O 0.250 0.583 0.825
18 O 0.250 0.917 0.825
19 O 0.499 0.089 0.667
20 O 0.499 0.411 0.667
21 O 0.501 0.589 0.333
22 O 0.501 0.911 0.333
23 O 0.750 0.083 0.175
24 O 0.750 0.417 0.175
25 O 0.750 0.587 0.844
26 O 0.750 0.913 0.844
27 O 0.999 0.589 0.333
28 O 0.999 0.911 0.333

Output
Space group: Pmmn (59)
Formation enthalpy at 0 K in eV per atom: -1.021
Theoretical density in g/cm3: 8.15
Total DFT energy (no corrections) in eV per atom: -15.2676
Magnetization in μB/cell: 0.00

---

The following is a DFT calculation (r²SCAN) of a geometry-optimized Ho3Co structure.

abc: 6.841 9.376 6.177
angles: 90.00 90.00 90.00
Positions (direct):
1 Ho 0.045 0.250 0.140
2 Ho 0.173 0.069 0.679
3 Ho 0.173 0.431 0.679
4 Ho 0.327 0.569 0.179
5 Ho 0.327 0.931 0.179
6 Ho 0.455 0.750 0.640
7 Ho 0.545 0.250 0.360
8 Ho 0.673 0.069 0.821
9 Ho 0.673 0.431 0.821
10 Ho 0.827 0.569 0.321
11 Ho 0.827 0.931 0.321
12 Ho 0.955 0.750 0.860
13 Co 0.111 0.750 0.459
14 Co 0.389 0.250 0.959
15 Co 0.611 0.750 0.041
16 Co 0.889 0.250 0.541

Output
Space group: Pnma (62)
Formation enthalpy at 0 K in eV per atom: -0.098
Theoretical density in g/cm3: 9.28
Total DFT energy (no corrections) in eV per atom: -28.0675
Magnetization in μB/cell: 0.00